# NdNiO3

A relaxed structure of NdNiO3 (PBE with a Hubbard U, Materials Project).

abc: 5.432 5.496 7.709
angles: 90.00 90.00 90.00
Sites, in units of the cell vectors:
Nd: 0.011 0.953 0.750
Nd: 0.489 0.453 0.750
Nd: 0.511 0.547 0.250
Nd: 0.989 0.047 0.250
Ni: 0.500 0.000 0.500
Ni: 0.000 0.500 0.000
Ni: 0.000 0.500 0.500
Ni: 0.500 0.000 0.000
O: 0.714 0.288 0.457
O: 0.786 0.788 0.043
O: 0.214 0.212 0.543
O: 0.286 0.712 0.957
O: 0.286 0.712 0.543
O: 0.214 0.212 0.957
O: 0.786 0.788 0.457
O: 0.714 0.288 0.043
O: 0.079 0.486 0.250
O: 0.421 0.986 0.250
O: 0.579 0.014 0.750
O: 0.921 0.514 0.750

Computed properties:
- Calculated formation energy: -55.93 kcal/mol of atoms
- Crystal system: orthorhombic


# Mg6AlCrO8

A relaxed structure of Mg6AlCrO8 (PBE with a Hubbard U, Materials Project).

abc: 8.763 4.279 4.279
angles: 90.00 90.00 90.00
Sites, in units of the cell vectors:
Mg: 0.000 0.500 0.500
Mg: 0.500 0.500 0.500
Mg: 0.252 0.000 0.500
Mg: 0.748 0.000 0.500
Mg: 0.252 0.500 0.000
Mg: 0.748 0.500 0.000
Al: 0.000 0.000 0.000
Cr: 0.500 0.000 0.000
O: 0.209 0.000 0.000
O: 0.791 0.000 0.000
O: 0.248 0.500 0.500
O: 0.752 0.500 0.500
O: 0.000 0.000 0.500
O: 0.500 0.000 0.500
O: 0.000 0.500 0.000
O: 0.500 0.500 0.000

Computed properties:
- Calculated formation energy: -63.72 kcal/mol of atoms
- Crystal system: tetragonal


# Ca4Mn3CrO10

A relaxed structure of Ca4Mn3CrO10 (PBE with a Hubbard U, Materials Project).

abc: 5.551 10.968 15.391
angles: 90.46 89.89 91.60
Sites, in units of the cell vectors:
Ca: 0.012 0.003 0.110
Ca: 0.010 0.010 0.612
Ca: 0.975 0.546 0.128
Ca: 0.964 0.542 0.630
Ca: 0.987 0.515 0.374
Ca: 0.981 0.518 0.874
Ca: 0.008 0.959 0.386
Ca: 0.002 0.959 0.882
Ca: 0.537 0.229 0.395
Ca: 0.547 0.228 0.892
Ca: 0.501 0.745 0.376
Ca: 0.506 0.749 0.873
Ca: 0.488 0.224 0.120
Ca: 0.496 0.228 0.620
Ca: 0.510 0.781 0.119
Ca: 0.507 0.783 0.625
Mn: 0.507 0.993 0.497
Mn: 0.479 0.504 0.991
Mn: 0.473 0.505 0.493
Mn: 0.043 0.247 0.501
Mn: 0.000 0.746 0.002
Mn: 0.992 0.744 0.503
Mn: 0.928 0.275 0.745
Mn: 0.004 0.756 0.249
Mn: 0.004 0.757 0.747
Mn: 0.519 0.996 0.753
Mn: 0.511 0.509 0.249
Mn: 0.500 0.511 0.748
Cr: 0.506 0.997 0.998
Cr: 0.043 0.241 0.999
Cr: 0.909 0.271 0.242
Cr: 0.532 0.991 0.253
O: 0.193 0.584 0.256
O: 0.187 0.587 0.756
O: 0.722 0.394 0.183
O: 0.700 0.400 0.684
O: 0.832 0.916 0.233
O: 0.833 0.906 0.732
O: 0.630 0.167 0.253
O: 0.633 0.161 0.750
O: 0.712 0.660 0.227
O: 0.711 0.659 0.727
O: 0.293 0.859 0.278
O: 0.299 0.856 0.773
O: 0.338 0.348 0.505
O: 0.340 0.347 0.011
O: 0.277 0.846 0.481
O: 0.285 0.848 0.979
O: 0.732 0.149 0.013
O: 0.747 0.159 0.512
O: 0.705 0.632 0.026
O: 0.688 0.631 0.529
O: 0.789 0.886 0.016
O: 0.785 0.887 0.519
O: 0.241 0.098 0.472
O: 0.223 0.101 0.972
O: 0.171 0.590 0.495
O: 0.180 0.595 0.994
O: 0.601 0.002 0.378
O: 0.591 0.001 0.874
O: 0.580 0.476 0.376
O: 0.565 0.479 0.872
O: 0.432 0.000 0.128
O: 0.432 0.001 0.627
O: 0.073 0.223 0.138
O: 0.084 0.228 0.632
O: 0.086 0.753 0.124
O: 0.086 0.748 0.626
O: 0.991 0.292 0.365
O: 0.972 0.299 0.879
O: 0.922 0.739 0.379
O: 0.927 0.741 0.874

Computed properties:
- Calculated formation energy: -58.94 kcal/mol of atoms
- Crystal system: triclinic


# K6Na2MnH24W6O36

A relaxed structure of K6Na2MnH24W6O36 (PBE with a Hubbard U, Materials Project).

abc: 9.820 9.820 9.820
angles: 84.40 84.40 84.40
Sites, in units of the cell vectors:
K: 0.667 0.101 0.667
K: 0.899 0.333 0.333
K: 0.667 0.667 0.101
K: 0.333 0.333 0.899
K: 0.101 0.667 0.667
K: 0.333 0.899 0.333
Na: 0.740 0.740 0.740
Na: 0.260 0.260 0.260
Mn: 0.000 0.000 0.000
H: 0.902 0.526 0.902
H: 0.474 0.098 0.098
H: 0.517 0.157 0.398
H: 0.843 0.483 0.602
H: 0.353 0.037 0.037
H: 0.963 0.647 0.963
H: 0.398 0.157 0.517
H: 0.843 0.602 0.483
H: 0.602 0.483 0.843
H: 0.517 0.398 0.157
H: 0.098 0.098 0.474
H: 0.037 0.037 0.353
H: 0.963 0.963 0.647
H: 0.902 0.902 0.526
H: 0.398 0.517 0.157
H: 0.483 0.602 0.843
H: 0.602 0.843 0.483
H: 0.157 0.398 0.517
H: 0.037 0.353 0.037
H: 0.647 0.963 0.963
H: 0.483 0.843 0.602
H: 0.157 0.517 0.398
H: 0.098 0.474 0.098
H: 0.526 0.902 0.902
W: 0.755 0.000 0.245
W: 0.755 0.245 0.000
W: 0.245 0.000 0.755
W: 0.000 0.245 0.755
W: 0.245 0.755 0.000
W: 0.000 0.755 0.245
O: 0.874 0.100 0.874
O: 0.900 0.126 0.126
O: 0.709 0.125 0.368
O: 0.875 0.291 0.632
O: 0.909 0.348 0.909
O: 0.652 0.091 0.091
O: 0.709 0.368 0.125
O: 0.632 0.291 0.875
O: 0.898 0.628 0.898
O: 0.372 0.102 0.102
O: 0.417 0.156 0.417
O: 0.844 0.583 0.583
O: 0.875 0.632 0.291
O: 0.368 0.125 0.709
O: 0.126 0.126 0.900
O: 0.102 0.102 0.372
O: 0.583 0.583 0.844
O: 0.898 0.898 0.628
O: 0.091 0.091 0.652
O: 0.417 0.417 0.156
O: 0.909 0.909 0.348
O: 0.874 0.874 0.100
O: 0.632 0.875 0.291
O: 0.125 0.368 0.709
O: 0.583 0.844 0.583
O: 0.156 0.417 0.417
O: 0.102 0.372 0.102
O: 0.628 0.898 0.898
O: 0.291 0.632 0.875
O: 0.368 0.709 0.125
O: 0.348 0.909 0.909
O: 0.091 0.652 0.091
O: 0.291 0.875 0.632
O: 0.125 0.709 0.368
O: 0.100 0.874 0.874
O: 0.126 0.900 0.126

Computed properties:
- Calculated formation energy: -40.89 kcal/mol of atoms
- Crystal system: trigonal


# K4Li7Mn2O8

A relaxed structure of K4Li7Mn2O8 (PBE with a Hubbard U, Materials Project).

abc: 8.952 5.656 10.834
angles: 82.28 90.00 90.00
Sites, in units of the cell vectors:
K: 0.759 0.912 0.838
K: 0.507 0.867 0.369
K: 0.250 0.576 0.656
K: 0.493 0.367 0.869
K: 0.002 0.620 0.122
K: 0.241 0.412 0.338
K: 0.998 0.120 0.622
K: 0.750 0.076 0.156
Li: 0.263 0.998 0.502
Li: 0.498 0.899 0.696
Li: 0.235 0.684 0.927
Li: 0.740 0.802 0.567
Li: 0.230 0.928 0.204
Li: 0.000 0.587 0.807
Li: 0.737 0.498 0.002
Li: 0.770 0.428 0.704
Li: 0.737 0.569 0.302
Li: 0.502 0.399 0.196
Li: 0.765 0.184 0.427
Li: 0.263 0.069 0.802
Li: 0.260 0.302 0.067
Li: 0.000 0.087 0.307
Mn: 0.967 0.659 0.448
Mn: 0.033 0.159 0.948
Mn: 0.457 0.834 0.052
Mn: 0.543 0.334 0.552
O: 0.070 0.886 0.859
O: 0.440 0.847 0.877
O: 0.804 0.869 0.381
O: 0.166 0.857 0.388
O: 0.938 0.633 0.628
O: 0.571 0.604 0.640
O: 0.196 0.369 0.881
O: 0.655 0.648 0.118
O: 0.300 0.631 0.115
O: 0.834 0.357 0.888
O: 0.930 0.386 0.359
O: 0.560 0.347 0.377
O: 0.345 0.148 0.618
O: 0.700 0.131 0.615
O: 0.062 0.133 0.128
O: 0.429 0.104 0.140

Computed properties:
- Calculated formation energy: -41.90 kcal/mol of atoms
- Crystal system: monoclinic


# CaLaMn2O6

A relaxed structure of CaLaMn2O6 (PBE with a Hubbard U, Materials Project).

abc: 5.530 7.674 11.004
angles: 90.00 90.00 90.00
Sites, in units of the cell vectors:
Ca: 0.260 0.000 0.118
Ca: 0.240 0.500 0.618
Ca: 0.760 0.500 0.382
Ca: 0.740 0.000 0.882
La: 0.241 0.500 0.128
La: 0.259 0.000 0.628
La: 0.759 0.500 0.872
La: 0.741 0.000 0.372
Mn: 0.755 0.747 0.625
Mn: 0.745 0.753 0.125
Mn: 0.755 0.253 0.625
Mn: 0.745 0.247 0.125
Mn: 0.245 0.747 0.375
Mn: 0.255 0.247 0.875
Mn: 0.255 0.753 0.875
Mn: 0.245 0.253 0.375
O: 0.675 0.500 0.114
O: 0.825 0.000 0.614
O: 0.832 0.000 0.133
O: 0.668 0.500 0.633
O: 0.332 0.500 0.367
O: 0.168 0.000 0.867
O: 0.175 0.000 0.386
O: 0.325 0.500 0.886
O: 0.000 0.712 0.000
O: 0.500 0.788 0.500
O: 0.500 0.212 0.500
O: 0.000 0.288 0.000
O: 0.517 0.793 0.754
O: 0.983 0.707 0.254
O: 0.983 0.293 0.254
O: 0.517 0.207 0.754
O: 0.500 0.204 0.000
O: 0.000 0.296 0.500
O: 0.000 0.704 0.500
O: 0.500 0.796 0.000
O: 0.483 0.207 0.246
O: 0.017 0.293 0.746
O: 0.017 0.707 0.746
O: 0.483 0.793 0.246

Computed properties:
- Calculated formation energy: -63.90 kcal/mol of atoms
- Crystal system: orthorhombic


# HfNiO6F6

A relaxed structure of HfNiO6F6 (PBE with a Hubbard U, Materials Project).

abc: 5.909 5.909 5.909
angles: 93.84 93.84 93.84
Sites, in units of the cell vectors:
Hf: 0.000 0.000 0.000
Ni: 0.500 0.500 0.500
O: 0.806 0.592 0.435
O: 0.592 0.435 0.806
O: 0.435 0.806 0.592
O: 0.194 0.408 0.565
O: 0.408 0.565 0.194
O: 0.565 0.194 0.408
F: 0.729 0.083 0.809
F: 0.083 0.809 0.729
F: 0.809 0.729 0.083
F: 0.271 0.917 0.191
F: 0.917 0.191 0.271
F: 0.191 0.271 0.917

Computed properties:
- Calculated formation energy: -25.35 kcal/mol of atoms
- Crystal system: trigonal


# KPrV4O12

A relaxed structure of KPrV4O12 (PBE with a Hubbard U, Materials Project).

abc: 6.028 6.028 7.219
angles: 90.00 90.00 73.69
Sites, in units of the cell vectors:
K: 0.035 0.035 0.500
Pr: 0.547 0.547 0.000
V: 0.540 0.036 0.753
V: 0.540 0.036 0.247
V: 0.036 0.540 0.247
V: 0.036 0.540 0.753
O: 0.724 0.195 0.782
O: 0.195 0.724 0.782
O: 0.195 0.724 0.218
O: 0.724 0.195 0.218
O: 0.719 0.719 0.741
O: 0.264 0.264 0.774
O: 0.264 0.264 0.226
O: 0.719 0.719 0.259
O: 0.488 0.953 0.000
O: 0.501 0.023 0.500
O: 0.953 0.488 0.000
O: 0.023 0.501 0.500

Computed properties:
- Calculated formation energy: -58.09 kcal/mol of atoms
- Crystal system: orthorhombic


# VFe5P6O24

A relaxed structure of VFe5P6O24 (PBE with a Hubbard U, Materials Project).

abc: 8.459 8.459 8.459
angles: 61.32 61.32 61.32
Sites, in units of the cell vectors:
V: 0.143 0.143 0.143
Fe: 0.000 0.000 0.000
Fe: 0.645 0.645 0.645
Fe: 0.499 0.499 0.499
Fe: 0.856 0.856 0.856
Fe: 0.354 0.354 0.354
P: 0.955 0.250 0.544
P: 0.544 0.955 0.250
P: 0.250 0.544 0.955
P: 0.753 0.455 0.046
P: 0.455 0.046 0.753
P: 0.046 0.753 0.455
O: 0.502 0.105 0.326
O: 0.326 0.502 0.105
O: 0.105 0.326 0.502
O: 0.941 0.093 0.741
O: 0.005 0.178 0.383
O: 0.753 0.406 0.551
O: 0.741 0.941 0.093
O: 0.551 0.753 0.406
O: 0.822 0.611 0.001
O: 0.406 0.551 0.753
O: 0.913 0.255 0.065
O: 0.611 0.001 0.822
O: 0.383 0.005 0.178
O: 0.093 0.741 0.941
O: 0.595 0.440 0.249
O: 0.178 0.383 0.005
O: 0.440 0.249 0.595
O: 0.255 0.065 0.913
O: 0.249 0.595 0.440
O: 0.001 0.822 0.611
O: 0.065 0.913 0.255
O: 0.889 0.688 0.488
O: 0.688 0.488 0.889
O: 0.488 0.889 0.688

Computed properties:
- Calculated formation energy: -54.60 kcal/mol of atoms
- Crystal system: trigonal


# Li9Mn2Co5O16

A relaxed structure of Li9Mn2Co5O16 (PBE with a Hubbard U, Materials Project).

abc: 5.180 7.723 7.737
angles: 96.04 104.34 104.05
Sites, in units of the cell vectors:
Li: 0.500 0.500 0.000
Li: 0.503 0.118 0.871
Li: 0.507 0.761 0.756
Li: 0.500 0.370 0.619
Li: 0.500 0.000 0.500
Li: 0.500 0.630 0.381
Li: 0.493 0.239 0.244
Li: 0.497 0.882 0.129
Li: 0.000 0.000 0.000
Mn: 0.994 0.629 0.878
Mn: 0.006 0.371 0.122
Co: 0.002 0.249 0.750
Co: 0.992 0.883 0.630
Co: 0.000 0.500 0.500
Co: 0.008 0.117 0.370
Co: 0.998 0.751 0.250
O: 0.233 0.613 0.109
O: 0.214 0.260 0.995
O: 0.234 0.856 0.868
O: 0.199 0.498 0.748
O: 0.246 0.123 0.621
O: 0.202 0.740 0.495
O: 0.249 0.372 0.355
O: 0.220 0.989 0.257
O: 0.767 0.387 0.891
O: 0.780 0.011 0.743
O: 0.751 0.628 0.645
O: 0.798 0.260 0.505
O: 0.754 0.877 0.379
O: 0.801 0.502 0.252
O: 0.766 0.144 0.132
O: 0.786 0.740 0.005

Computed properties:
- Calculated formation energy: -42.47 kcal/mol of atoms
- Crystal system: triclinic


Please write out number 3 again, unchanged.
# Ca4Mn3CrO10

A relaxed structure of Ca4Mn3CrO10 (PBE with a Hubbard U, Materials Project).

abc: 5.551 10.968 15.391
angles: 90.46 89.89 91.60
Sites, in units of the cell vectors:
Ca: 0.012 0.003 0.110
Ca: 0.010 0.010 0.612
Ca: 0.975 0.546 0.128
Ca: 0.964 0.542 0.630
Ca: 0.987 0.515 0.374
Ca: 0.981 0.518 0.874
Ca: 0.008 0.959 0.386
Ca: 0.002 0.959 0.882
Ca: 0.537 0.229 0.395
Ca: 0.547 0.228 0.892
Ca: 0.501 0.745 0.376
Ca: 0.506 0.749 0.873
Ca: 0.488 0.224 0.120
Ca: 0.496 0.228 0.620
Ca: 0.510 0.781 0.119
Ca: 0.507 0.783 0.625
Mn: 0.507 0.993 0.497
Mn: 0.479 0.504 0.991
Mn: 0.473 0.505 0.493
Mn: 0.043 0.247 0.501
Mn: 0.000 0.746 0.002
Mn: 0.992 0.744 0.503
Mn: 0.928 0.275 0.745
Mn: 0.004 0.756 0.249
Mn: 0.004 0.757 0.747
Mn: 0.519 0.996 0.753
Mn: 0.511 0.509 0.249
Mn: 0.500 0.511 0.748
Cr: 0.506 0.997 0.998
Cr: 0.043 0.241 0.999
Cr: 0.909 0.271 0.242
Cr: 0.532 0.991 0.253
O: 0.193 0.584 0.256
O: 0.187 0.587 0.756
O: 0.722 0.394 0.183
O: 0.700 0.400 0.684
O: 0.832 0.916 0.233
O: 0.833 0.906 0.732
O: 0.630 0.167 0.253
O: 0.633 0.161 0.750
O: 0.712 0.660 0.227
O: 0.711 0.659 0.727
O: 0.293 0.859 0.278
O: 0.299 0.856 0.773
O: 0.338 0.348 0.505
O: 0.340 0.347 0.011
O: 0.277 0.846 0.481
O: 0.285 0.848 0.979
O: 0.732 0.149 0.013
O: 0.747 0.159 0.512
O: 0.705 0.632 0.026
O: 0.688 0.631 0.529
O: 0.789 0.886 0.016
O: 0.785 0.887 0.519
O: 0.241 0.098 0.472
O: 0.223 0.101 0.972
O: 0.171 0.590 0.495
O: 0.180 0.595 0.994
O: 0.601 0.002 0.378
O: 0.591 0.001 0.874
O: 0.580 0.476 0.376
O: 0.565 0.479 0.872
O: 0.432 0.000 0.128
O: 0.432 0.001 0.627
O: 0.073 0.223 0.138
O: 0.084 0.228 0.632
O: 0.086 0.753 0.124
O: 0.086 0.748 0.626
O: 0.991 0.292 0.365
O: 0.972 0.299 0.879
O: 0.922 0.739 0.379
O: 0.927 0.741 0.874

Computed properties:
- Calculated formation energy: -58.94 kcal/mol of atoms
- Crystal system: triclinic


> calculated formation energy of number 6 (CaLaMn2O6)?

-63.90 kcal/mol of atoms


> calculated formation energy of number 4 (K6Na2MnH24W6O36)?

-40.89 kcal/mol of atoms